(1)
VASP calculation (GGA+U) on a relaxed MoP3Pb2O11 crystal.

Calculated formation energy (eV/atom): -2.438

abc: 7.205 6.651 20.413
angles: 80.33 90.00 90.00
Positions (direct):
O: 0.006 0.682 0.035
O: 0.994 0.318 0.965
O: 0.817 0.722 0.137
O: 0.494 0.682 0.535
O: 0.739 0.108 0.026
O: 0.828 0.324 0.412
O: 0.867 0.004 0.921
O: 0.140 0.315 0.703
O: 0.761 0.108 0.526
O: 0.187 0.470 0.452
O: 0.516 0.006 0.720
O: 0.898 0.090 0.665
O: 0.133 0.996 0.079
O: 0.445 0.629 0.375
O: 0.172 0.676 0.588
O: 0.555 0.371 0.625
O: 0.360 0.315 0.203
O: 0.398 0.910 0.835
O: 0.683 0.722 0.637
O: 0.328 0.676 0.088
O: 0.633 0.004 0.421
O: 0.239 0.892 0.474
O: 0.317 0.278 0.363
O: 0.179 0.680 0.248
O: 0.860 0.685 0.297
O: 0.640 0.685 0.797
O: 0.679 0.320 0.252
O: 0.321 0.680 0.748
O: 0.813 0.530 0.548
O: 0.945 0.371 0.125
O: 0.055 0.629 0.875
O: 0.602 0.090 0.165
O: 0.261 0.892 0.974
O: 0.672 0.324 0.912
O: 0.102 0.910 0.335
O: 0.687 0.530 0.048
O: 0.506 0.318 0.465
O: 0.821 0.320 0.752
O: 0.984 0.006 0.220
O: 0.016 0.994 0.780
O: 0.484 0.994 0.280
O: 0.313 0.470 0.952
O: 0.367 0.996 0.579
O: 0.183 0.278 0.863
Pb: 0.618 0.673 0.924
Pb: 0.018 0.331 0.271
Pb: 0.518 0.669 0.229
Pb: 0.482 0.331 0.771
Pb: 0.118 0.327 0.576
Pb: 0.882 0.673 0.424
Pb: 0.382 0.327 0.076
Pb: 0.982 0.669 0.729
P: 0.645 0.570 0.589
P: 0.467 0.817 0.773
P: 0.692 0.184 0.455
P: 0.145 0.430 0.911
P: 0.855 0.570 0.089
P: 0.355 0.430 0.411
P: 0.808 0.184 0.955
P: 0.308 0.816 0.545
P: 0.533 0.183 0.227
P: 0.967 0.183 0.727
P: 0.192 0.816 0.045
P: 0.033 0.817 0.273
Mo: 0.630 0.050 0.622
Mo: 0.130 0.950 0.878
Mo: 0.870 0.050 0.122
Mo: 0.370 0.950 0.378

=====

(2)
VASP calculation (GGA+U) on a relaxed Ba3In2WO9 crystal.

Calculated formation energy (eV/atom): -2.602
Energy above the lowest structure with this stoichiometry (meV per atom): 8

abc: 5.974 5.974 7.332
angles: 90.00 90.00 120.00
Positions (direct):
O: 0.156 0.312 0.847
O: 0.844 0.688 0.153
O: 0.500 0.500 0.500
O: 0.500 0.000 0.500
O: 0.156 0.844 0.847
O: 0.688 0.844 0.847
O: 0.000 0.500 0.500
O: 0.844 0.156 0.153
O: 0.312 0.156 0.153
Ba: 0.333 0.667 0.189
Ba: 0.667 0.333 0.811
Ba: 0.000 0.000 0.500
W: 0.000 0.000 0.000
In: 0.667 0.333 0.333
In: 0.333 0.667 0.667

=====

(3)
VASP calculation (GGA+U) on a relaxed Li3VCr4O8 crystal.

Calculated formation energy (eV/atom): -2.242

abc: 6.024 6.024 5.978
angles: 61.75 61.75 59.15
Positions (direct):
O: 0.237 0.731 0.269
O: 0.763 0.269 0.731
O: 0.735 0.735 0.280
O: 0.265 0.265 0.720
O: 0.269 0.763 0.731
O: 0.745 0.745 0.734
O: 0.731 0.237 0.269
O: 0.255 0.255 0.266
Cr: 0.000 0.000 0.000
Cr: 0.500 0.500 0.500
Cr: 0.000 0.500 0.500
Cr: 0.500 0.000 0.500
Li: 0.000 0.000 0.500
Li: 0.500 0.000 0.000
Li: 0.000 0.500 0.000
V: 0.500 0.500 0.000

=====

(4)
VASP calculation (GGA+U) on a relaxed Y4MgW4O20 crystal.

Calculated formation energy (eV/atom): -2.758

abc: 5.345 6.533 12.772
angles: 91.37 90.32 109.69
Positions (direct):
O: 0.403 0.329 0.907
O: 0.372 0.598 0.366
O: 0.514 0.078 0.417
O: 0.743 0.032 0.946
O: 0.534 0.703 0.787
O: 0.494 0.308 0.224
O: 0.795 0.471 0.430
O: 0.670 0.455 0.652
O: 0.845 0.081 0.156
O: 0.262 0.988 0.058
O: 0.016 0.793 0.272
O: 0.118 0.891 0.847
O: 0.223 0.530 0.572
O: 0.969 0.438 0.913
O: 0.961 0.199 0.736
O: 0.145 0.171 0.427
O: 0.437 0.948 0.618
O: 0.648 0.657 0.069
O: 0.071 0.571 0.093
O: 0.841 0.852 0.563
Y: 0.140 0.792 0.450
Y: 0.825 0.217 0.558
Y: 0.664 0.292 0.062
Y: 0.352 0.719 0.952
Mg: 0.716 0.469 0.806
W: 0.051 0.145 0.866
W: 0.465 0.356 0.361
W: 0.957 0.849 0.138
W: 0.533 0.699 0.640

=====

(5)
VASP calculation (GGA+U) on a relaxed CaV2O4 crystal.

Calculated formation energy (eV/atom): -2.771
Energy above the lowest structure with this stoichiometry (meV per atom): 31

abc: 5.189 5.189 10.112
angles: 90.00 90.00 145.30
Positions (direct):
O: 0.067 0.933 0.250
O: 0.232 0.768 0.893
O: 0.232 0.768 0.607
O: 0.500 0.500 0.000
O: 0.768 0.232 0.393
O: 0.768 0.232 0.107
O: 0.500 0.500 0.500
O: 0.933 0.067 0.750
V: 0.132 0.868 0.430
V: 0.868 0.132 0.570
V: 0.868 0.132 0.930
V: 0.132 0.868 0.070
Ca: 0.386 0.614 0.250
Ca: 0.614 0.386 0.750

=====

(6)
VASP calculation (GGA+U) on a relaxed BaCrCdF7 crystal.

Calculated formation energy (eV/atom): -3.246

abc: 7.617 7.617 15.298
angles: 88.56 88.56 42.16
Positions (direct):
Ba: 0.730 0.648 0.376
Ba: 0.352 0.270 0.124
Ba: 0.648 0.730 0.876
Ba: 0.270 0.352 0.624
F: 0.347 0.897 0.701
F: 0.032 0.842 0.629
F: 0.545 0.124 0.778
F: 0.455 0.876 0.222
F: 0.748 0.424 0.019
F: 0.876 0.455 0.722
F: 0.687 0.814 0.591
F: 0.252 0.576 0.981
F: 0.158 0.968 0.871
F: 0.932 0.338 0.548
F: 0.124 0.545 0.278
F: 0.604 0.384 0.656
F: 0.897 0.347 0.201
F: 0.653 0.103 0.299
F: 0.424 0.748 0.519
F: 0.616 0.396 0.844
F: 0.103 0.653 0.799
F: 0.338 0.932 0.048
F: 0.814 0.687 0.091
F: 0.068 0.662 0.452
F: 0.842 0.032 0.129
F: 0.396 0.616 0.344
F: 0.384 0.604 0.156
F: 0.313 0.186 0.409
F: 0.186 0.313 0.909
F: 0.968 0.158 0.371
F: 0.576 0.252 0.481
F: 0.662 0.068 0.952
Cd: 0.000 0.000 0.000
Cd: 0.953 0.047 0.750
Cd: 0.047 0.953 0.250
Cd: 0.000 0.000 0.500
Cr: 0.386 0.369 0.875
Cr: 0.369 0.386 0.375
Cr: 0.614 0.631 0.125
Cr: 0.631 0.614 0.625

=====

(7)
VASP calculation (GGA+U) on a relaxed Li3Cr2P5O18 crystal.

Calculated formation energy (eV/atom): -2.493
Energy above the lowest structure with this stoichiometry (meV per atom): 0

abc: 6.467 9.446 10.514
angles: 95.97 92.64 91.49
Positions (direct):
O: 0.631 0.762 0.962
O: 0.539 0.345 0.420
O: 0.004 0.678 0.197
O: 0.069 0.640 0.581
O: 0.013 0.820 0.962
O: 0.811 0.749 0.755
O: 0.461 0.655 0.580
O: 0.575 0.943 0.687
O: 0.038 0.978 0.317
O: 0.713 0.102 0.528
O: 0.962 0.022 0.683
O: 0.336 0.922 0.102
O: 0.996 0.322 0.803
O: 0.901 0.569 0.906
O: 0.287 0.898 0.472
O: 0.219 0.169 0.482
O: 0.720 0.460 0.697
O: 0.667 0.365 0.919
O: 0.290 0.633 0.790
O: 0.272 0.427 0.601
O: 0.425 0.057 0.313
O: 0.690 0.050 0.150
O: 0.396 0.173 0.742
O: 0.604 0.827 0.258
O: 0.369 0.238 0.038
O: 0.333 0.635 0.081
O: 0.664 0.078 0.898
O: 0.728 0.573 0.399
O: 0.931 0.360 0.419
O: 0.189 0.251 0.245
O: 0.099 0.431 0.094
O: 0.987 0.180 0.038
O: 0.781 0.831 0.518
O: 0.280 0.540 0.303
O: 0.310 0.950 0.850
O: 0.710 0.367 0.210
P: 0.234 0.024 0.399
P: 0.479 0.045 0.799
P: 0.170 0.272 0.103
P: 0.766 0.976 0.601
P: 0.521 0.955 0.201
P: 0.830 0.728 0.897
P: 0.818 0.420 0.826
P: 0.182 0.580 0.174
P: 0.727 0.409 0.355
P: 0.273 0.591 0.645
Li: 0.994 0.942 0.132
Li: 0.132 0.219 0.664
Li: 0.868 0.781 0.336
Li: 0.454 0.726 0.399
Li: 0.006 0.058 0.868
Li: 0.546 0.274 0.601
Cr: 0.232 0.360 0.406
Cr: 0.324 0.777 0.951
Cr: 0.676 0.223 0.049
Cr: 0.768 0.640 0.594

=====

(8)
VASP calculation (GGA+U) on a relaxed Li3VS3O12 crystal.

Calculated formation energy (eV/atom): -2.133

abc: 8.133 8.133 8.133
angles: 106.94 106.94 106.94
Positions (direct):
O: 0.539 0.130 0.184
O: 0.246 0.128 0.979
O: 0.872 0.021 0.754
O: 0.291 0.968 0.538
O: 0.032 0.462 0.709
O: 0.130 0.184 0.539
O: 0.870 0.816 0.461
O: 0.514 0.580 0.763
O: 0.461 0.870 0.816
O: 0.462 0.709 0.032
O: 0.754 0.872 0.021
O: 0.184 0.539 0.130
O: 0.968 0.538 0.291
O: 0.816 0.461 0.870
O: 0.237 0.486 0.420
O: 0.979 0.246 0.128
O: 0.420 0.237 0.486
O: 0.486 0.420 0.237
O: 0.763 0.514 0.580
O: 0.709 0.032 0.462
O: 0.580 0.763 0.514
O: 0.021 0.754 0.872
O: 0.538 0.291 0.968
O: 0.128 0.979 0.246
S: 0.236 0.093 0.456
S: 0.456 0.236 0.093
S: 0.907 0.544 0.764
S: 0.093 0.456 0.236
S: 0.544 0.764 0.907
S: 0.764 0.907 0.544
Li: 0.402 0.848 0.228
Li: 0.598 0.152 0.772
Li: 0.772 0.598 0.152
Li: 0.848 0.228 0.402
Li: 0.228 0.402 0.848
Li: 0.152 0.772 0.598
V: 0.500 0.500 0.500
V: 0.000 0.000 0.000

=====

(9)
VASP calculation (GGA+U) on a relaxed MgNiTe4O12 crystal.

Calculated formation energy (eV/atom): -1.537
Energy above the lowest structure with this stoichiometry (meV per atom): 13

abc: 5.611 11.373 10.258
angles: 27.66 51.19 55.65
Positions (direct):
Te: 0.975 0.979 0.020
Te: 0.545 0.513 0.435
Te: 0.445 0.997 0.548
Te: 0.997 0.523 0.962
O: 0.790 0.396 0.310
O: 0.077 0.273 0.794
O: 0.610 0.142 0.917
O: 0.712 0.834 0.386
O: 0.589 0.661 0.889
O: 0.155 0.659 0.609
O: 0.352 0.806 0.119
O: 0.889 0.224 0.188
O: 0.906 0.690 0.206
O: 0.225 0.122 0.648
O: 0.371 0.341 0.053
O: 0.099 0.845 0.688
Mg: 0.794 0.493 0.780
Ni: 0.303 0.008 0.286

=====

(10)
VASP calculation (GGA+U) on a relaxed Sr2CoO4 crystal.

Calculated formation energy (eV/atom): -2.305
Energy above the lowest structure with this stoichiometry (meV per atom): 47

abc: 5.478 5.478 13.219
angles: 101.82 101.82 90.66
Positions (direct):
Sr: 0.426 0.931 0.857
Sr: 0.069 0.574 0.143
Sr: 0.824 0.819 0.643
Sr: 0.569 0.074 0.143
Sr: 0.324 0.319 0.643
Sr: 0.681 0.676 0.357
Sr: 0.926 0.431 0.857
Sr: 0.181 0.176 0.357
O: 0.168 0.674 0.341
O: 0.753 0.247 0.000
O: 0.997 0.003 0.500
O: 0.424 0.418 0.841
O: 0.758 0.742 0.000
O: 0.082 0.076 0.159
O: 0.253 0.747 0.000
O: 0.582 0.576 0.159
O: 0.826 0.332 0.659
O: 0.258 0.242 0.000
O: 0.492 0.008 0.500
O: 0.326 0.832 0.659
O: 0.668 0.174 0.341
O: 0.924 0.918 0.841
O: 0.497 0.503 0.500
O: 0.992 0.508 0.500
Co: 0.987 0.013 0.000
Co: 0.263 0.737 0.500
Co: 0.763 0.237 0.500
Co: 0.487 0.513 0.000

=====

(11)
VASP calculation (GGA+U) on a relaxed CrFeBi2O6 crystal.

Calculated formation energy (eV/atom): -1.823
Largest piezoelectric modulus (C/m2): 3.7

abc: 5.612 5.612 9.854
angles: 73.46 73.46 60.00
Positions (direct):
Bi: 0.746 0.746 0.762
Bi: 0.997 0.997 0.008
Bi: 0.497 0.498 0.507
Bi: 0.246 0.246 0.262
Cr: 0.388 0.388 0.837
Cr: 0.887 0.887 0.339
O: 0.705 0.250 0.197
O: 0.950 0.103 0.445
O: 0.501 0.950 0.445
O: 0.452 0.600 0.946
O: 0.103 0.501 0.445
O: 0.749 0.350 0.697
O: 0.001 0.452 0.946
O: 0.350 0.203 0.697
O: 0.848 0.705 0.197
O: 0.203 0.749 0.697
O: 0.600 0.001 0.946
O: 0.250 0.848 0.197
Fe: 0.635 0.635 0.095
Fe: 0.135 0.135 0.596